! PBE-GGA Na15Mg2Nb10Si15P3O72, relaxed; values from VASP
! Energy of formation from the pure elements (eV per atom): -2.9456
&SYSTEM
  ibrav = 0, nat = 117, ntyp = 6
/
ATOMIC_SPECIES
O 16.00 O.upf
Si 28.09 Si.upf
Na 22.99 Na.upf
Nb 92.91 Nb.upf
Mg 24.30 Mg.upf
P 30.97 P.upf
CELL_PARAMETERS angstrom
9.040 -0.004 -0.001
-4.523 7.837 -0.003
-0.004 -0.012 22.569
ATOMIC_POSITIONS crystal
O 0.161 0.470 0.975
Si 0.624 0.958 0.416
O 0.855 0.493 0.423
O 0.800 0.833 0.195
O 0.971 0.159 0.590
O 0.148 0.503 0.574
Si 0.337 0.378 0.416
O 0.183 0.019 0.589
O 0.826 0.807 0.306
Na 0.384 0.016 0.741
Na 0.979 0.367 0.743
Si 0.000 0.710 0.751
O 0.686 0.163 0.750
O 0.969 0.812 0.089
O 0.308 0.834 0.973
O 0.700 0.527 0.530
Si 0.039 0.665 0.418
Si 0.660 0.616 0.587
Na 0.660 0.976 0.585
O 0.180 0.477 0.254
O 0.504 0.861 0.357
O 0.506 0.661 0.576
Na 0.634 0.617 0.742
O 0.030 0.197 0.191
O 0.506 0.641 0.857
O 0.360 0.865 0.858
O 0.522 0.818 0.754
Nb 0.994 0.996 0.858
Si 0.955 0.622 0.086
O 0.475 0.168 0.528
Mg 0.670 0.335 0.684
O 0.810 0.973 0.410
O 0.137 0.496 0.858
Na 0.383 0.366 0.242
Nb 0.003 0.006 0.357
O 0.640 0.145 0.422
Nb 0.000 0.998 0.643
O 0.835 0.312 0.249
O 0.344 0.498 0.076
Si 0.958 0.336 0.586
Nb 0.665 0.339 0.978
O 0.810 0.835 0.911
O 0.507 0.361 0.422
O 0.639 0.495 0.923
O 0.348 0.851 0.575
O 0.696 0.162 0.032
O 0.838 0.812 0.589
Na 0.024 0.338 0.086
O 0.802 0.970 0.691
Nb 0.009 0.000 0.143
Nb 0.329 0.665 0.315
O 0.159 0.693 0.475
Na 0.635 0.019 0.245
O 0.023 0.835 0.409
O 0.148 0.648 0.074
O 0.509 0.860 0.075
O 0.311 0.477 0.472
O 0.164 0.190 0.411
O 0.162 0.966 0.193
O 0.477 0.167 0.249
Si 0.000 0.290 0.250
P 0.664 0.043 0.085
O 0.633 0.519 0.648
P 0.714 0.717 0.251
O 0.836 0.021 0.806
Si 0.709 0.999 0.751
O 0.832 0.525 0.751
O 0.035 0.832 0.691
O 0.832 0.029 0.089
O 0.833 0.521 0.028
O 0.893 0.381 0.646
Si 0.291 0.000 0.251
O 0.295 0.465 0.755
Nb 0.334 0.664 0.519
Nb 0.666 0.331 0.479
O 0.854 0.356 0.924
O 0.177 0.696 0.755
O 0.480 0.364 0.148
Na 0.342 0.674 0.162
Nb 0.333 0.671 0.815
Na 0.024 0.687 0.585
O 0.460 0.306 0.748
Na 0.333 0.656 0.664
O 0.531 0.842 0.475
Si 0.379 0.046 0.586
O 0.166 0.978 0.910
O 0.193 0.175 0.806
O 0.181 0.166 0.088
Na 0.667 0.330 0.333
P 0.284 0.286 0.751
O 0.524 0.690 0.973
Si 0.336 0.960 0.918
O 0.637 0.112 0.144
Si 0.382 0.338 0.087
O 0.476 0.309 0.029
O 0.979 0.164 0.306
Na 0.984 0.615 0.242
O 0.987 0.820 0.806
Na 0.672 0.332 0.832
Na 0.999 0.990 0.998
O 0.358 0.493 0.356
Si 0.621 0.665 0.917
O 0.029 0.191 0.910
O 0.694 0.540 0.247
Mg 0.667 0.332 0.184
O 0.829 0.299 0.529
O 0.491 0.111 0.645
O 0.138 0.642 0.359
Na 0.010 0.010 0.497
O 0.508 0.144 0.924
O 0.891 0.510 0.146
O 0.534 0.704 0.255
O 0.184 0.017 0.307
Nb 0.333 0.668 0.020
O 0.168 0.199 0.696
O 0.302 0.822 0.254
Si 0.042 0.376 0.917

***

! PBE-GGA ZnH4C2N4Cl2, relaxed; values from VASP
! Energy of formation from the pure elements (eV per atom): -0.4704
&SYSTEM
  ibrav = 0, nat = 52, ntyp = 5
/
ATOMIC_SPECIES
C 12.01 C.upf
H 1.01 H.upf
Cl 35.45 Cl.upf
N 14.01 N.upf
Zn 65.41 Zn.upf
CELL_PARAMETERS angstrom
-5.647 -4.044 -12.089
1.420 -7.079 1.705
-7.022 -0.573 3.472
ATOMIC_POSITIONS crystal
C 0.923 0.057 0.417
H 0.802 0.483 0.109
H 0.574 0.466 0.628
H 0.698 0.483 0.609
H 0.250 0.909 0.851
H 0.297 0.716 0.757
Cl 0.089 0.512 0.133
N 0.570 0.179 0.799
Cl 0.838 0.851 0.946
Cl 0.662 0.851 0.446
H 0.797 0.284 0.757
Cl 0.162 0.149 0.446
Zn 0.926 0.776 0.719
H 0.250 0.909 0.351
H 0.926 0.466 0.128
N 0.421 0.053 0.525
Zn 0.574 0.776 0.219
Cl 0.911 0.488 0.633
N 0.238 0.786 0.796
Zn 0.074 0.224 0.219
N 0.860 0.410 0.145
N 0.430 0.821 0.299
N 0.140 0.590 0.645
N 0.762 0.214 0.296
N 0.070 0.821 0.799
Zn 0.426 0.224 0.719
N 0.579 0.947 0.025
H 0.198 0.517 0.609
N 0.930 0.179 0.299
Cl 0.411 0.512 0.633
C 0.349 0.732 0.247
N 0.738 0.214 0.796
C 0.577 0.057 0.917
H 0.302 0.517 0.109
C 0.423 0.943 0.417
H 0.750 0.091 0.851
C 0.651 0.268 0.747
H 0.203 0.716 0.257
H 0.074 0.534 0.628
Cl 0.589 0.488 0.133
Cl 0.338 0.149 0.946
N 0.360 0.590 0.145
C 0.077 0.943 0.917
C 0.849 0.268 0.247
N 0.079 0.053 0.025
H 0.703 0.284 0.257
N 0.262 0.786 0.296
H 0.426 0.534 0.128
C 0.151 0.732 0.747
N 0.921 0.947 0.525
H 0.750 0.091 0.351
N 0.640 0.410 0.645

***

! PBE-GGA Li6Zn3P4S16, relaxed; values from VASP
! Energy of formation from the pure elements (eV per atom): -1.0024
! Excess energy over the best structure of this formula in the dataset (eV per atom): 0.003
&SYSTEM
  ibrav = 0, nat = 116, ntyp = 4
/
ATOMIC_SPECIES
P 30.97 P.upf
Li 6.94 Li.upf
S 32.06 S.upf
Zn 65.41 Zn.upf
CELL_PARAMETERS angstrom
0.000 0.000 -9.306
0.018 -11.601 -0.001
-23.159 -0.003 -0.014
ATOMIC_POSITIONS crystal
P 0.753 0.254 0.753
P 0.748 0.252 0.998
Li 0.490 0.498 0.004
Li 0.001 0.248 0.623
P 0.752 0.749 0.500
S 0.865 0.144 0.700
P 0.246 0.000 0.627
Zn 0.499 0.749 0.374
S 0.137 0.895 0.431
S 0.141 0.107 0.073
Li 0.498 0.000 0.747
P 0.253 0.496 0.622
S 0.137 0.604 0.070
Li 0.003 0.249 0.125
S 0.637 0.146 0.306
Li 0.495 0.997 0.001
Li 0.483 0.751 0.875
S 0.365 0.889 0.323
S 0.132 0.392 0.931
S 0.375 0.599 0.927
Li 0.017 0.748 0.876
P 0.252 0.000 0.871
P 0.750 0.753 0.002
Li 0.006 0.502 0.750
S 0.131 0.394 0.677
S 0.365 0.386 0.822
Li 0.494 0.504 0.751
S 0.871 0.855 0.052
S 0.865 0.139 0.198
P 0.247 0.500 0.877
Li 0.004 0.252 0.373
S 0.632 0.854 0.694
Li 0.245 0.252 0.747
S 0.361 0.609 0.677
S 0.363 0.891 0.574
S 0.869 0.856 0.801
P 0.749 0.246 0.499
S 0.875 0.144 0.447
S 0.136 0.103 0.320
Zn 0.998 0.500 0.250
S 0.626 0.359 0.944
P 0.250 0.000 0.375
S 0.133 0.102 0.570
Zn 0.999 0.000 0.499
S 0.864 0.861 0.552
P 0.250 0.499 0.126
S 0.863 0.361 0.050
S 0.627 0.353 0.700
S 0.864 0.637 0.448
P 0.750 0.750 0.250
S 0.870 0.640 0.948
P 0.747 0.746 0.748
P 0.751 0.250 0.250
S 0.362 0.614 0.427
Li 0.002 0.248 0.878
Zn 0.499 0.750 0.124
S 0.635 0.853 0.194
S 0.630 0.645 0.054
S 0.136 0.601 0.822
Li 0.502 0.002 0.500
P 0.250 0.501 0.374
Zn 0.006 0.500 0.499
S 0.629 0.645 0.556
S 0.131 0.893 0.681
P 0.252 0.004 0.127
S 0.372 0.899 0.819
S 0.129 0.904 0.924
S 0.864 0.362 0.302
S 0.362 0.112 0.926
Li 0.752 0.505 0.874
S 0.864 0.638 0.198
Zn 0.492 0.751 0.626
S 0.363 0.890 0.074
S 0.135 0.604 0.319
Li 0.002 0.754 0.624
Li 0.506 0.998 0.251
S 0.139 0.897 0.182
S 0.365 0.110 0.677
S 0.374 0.109 0.180
S 0.127 0.109 0.818
S 0.876 0.358 0.805
S 0.361 0.385 0.074
S 0.866 0.141 0.947
S 0.638 0.353 0.444
S 0.642 0.144 0.554
Li 0.001 0.751 0.375
Li 0.500 0.248 0.623
S 0.129 0.603 0.571
Li 0.007 0.001 0.003
S 0.637 0.645 0.306
S 0.638 0.355 0.194
S 0.873 0.643 0.696
S 0.366 0.389 0.323
Zn 0.998 0.999 0.749
S 0.629 0.150 0.052
Li 0.497 0.501 0.497
Li 0.749 0.498 0.627
S 0.627 0.146 0.805
S 0.630 0.852 0.946
S 0.365 0.611 0.177
S 0.632 0.851 0.446
Zn 0.498 0.249 0.127
S 0.364 0.112 0.428
S 0.375 0.395 0.571
Li 0.747 0.994 0.880
S 0.869 0.362 0.551
Li 0.502 0.500 0.249
Zn 0.004 0.500 0.001
Zn 0.493 0.250 0.877
S 0.134 0.396 0.181
Li 0.003 0.751 0.126
S 0.863 0.862 0.302
Zn 0.000 0.999 0.249
S 0.630 0.647 0.804
S 0.138 0.395 0.430
Zn 0.500 0.250 0.375

***

! PBE-GGA La3BeCrS7, relaxed; values from VASP
! Energy of formation from the pure elements (eV per atom): -1.9648
&SYSTEM
  ibrav = 0, nat = 24, ntyp = 4
/
ATOMIC_SPECIES
S 32.06 S.upf
Cr 52.00 Cr.upf
Be 9.01 Be.upf
La 138.91 La.upf
CELL_PARAMETERS angstrom
-5.503 6.435 5.633
-3.778 -9.116 -2.457
2.371 -2.322 4.969
ATOMIC_POSITIONS crystal
S 0.859 0.784 0.733
Cr 0.000 0.000 0.483
S 0.784 0.925 0.233
S 0.216 0.075 0.733
S 0.141 0.216 0.233
Cr 0.000 0.000 0.983
S 0.113 0.519 0.468
Be 0.667 0.333 0.839
La 0.611 0.863 0.752
S 0.519 0.406 0.968
S 0.075 0.859 0.233
S 0.333 0.667 0.987
S 0.887 0.481 0.968
La 0.863 0.253 0.252
S 0.406 0.887 0.468
S 0.667 0.333 0.487
Be 0.333 0.667 0.339
La 0.253 0.389 0.752
La 0.747 0.611 0.252
S 0.481 0.594 0.468
S 0.594 0.113 0.968
La 0.389 0.137 0.252
La 0.137 0.747 0.752
S 0.925 0.141 0.733

***

The calculation returns the following total energy after the MP2020 corrections values, one per record and in order: -7.8852, -5.8805, -4.5565, -6.7278 eV/atom.
The calculation returns the following VASP energy values, one per record and in order: -7.46, -5.79, -4.28, -6.43 eV/atom.